Entry 1:
# CuH12C5S4N

A relaxed structure of CuH12C5S4N (PBE-GGA, Materials Project).

ΔE_f   -0.20 eV per atom
Total energy   -944.81 eV/cell
Theoretical density   1.71 g/cm3
Distance to the lowest polymorph of the same formula   0.27 kJ per mole of atoms

```
184
Lattice="-0.3135 -7.6655 -7.9616 3.6591 -7.9725 7.5319 -16.0323 -3.5410 4.0406" Properties=species:S:1:pos:R:3 pbc="T T T"
H -4.9696 -9.3339 1.7593
S -5.0712 -12.7111 -1.1375
H 1.8925 -11.1127 2.6618
H -6.0339 -17.4105 1.9002
H -1.0381 -14.0526 0.0902
H -8.9364 -10.6182 -4.4933
H -1.0601 -5.7882 5.1278
Cu -0.0159 -8.0588 -6.6186
Cu -14.6173 -9.9921 3.4950
H -10.6162 -10.5095 -2.8949
N -10.6739 -3.3006 3.0342
H -2.4142 -13.9205 1.2671
H -3.1095 -10.6365 -0.0845
H -10.9771 -8.0810 6.0056
Cu -5.0410 -13.2332 4.2863
H 0.1867 -13.4553 3.0632
H -1.6305 -4.8515 1.6117
N -13.0008 -7.6127 -0.3996
N -1.3817 -4.3104 3.6406
C -8.1169 -9.1061 -1.3192
H -3.7503 -8.5609 8.1043
H -11.3007 -14.7756 7.2479
S -13.4070 -11.5453 2.1878
H -0.1293 -12.0389 1.9964
C -11.3784 -10.2805 -3.6547
H 2.1925 -10.6392 4.3723
H -3.6827 -7.8796 -6.2036
C -12.7766 -15.1152 0.1731
C -9.9447 -9.4327 3.1666
H -0.3217 -8.5258 6.9585
H 0.2973 -11.9688 -3.5884
C -0.3023 -12.4744 2.9918
H -10.2724 -5.2585 2.3438
H -1.1919 -6.4149 3.4526
C -12.3386 -8.9556 -0.3311
H -7.2205 -9.3663 3.5173
H -12.3649 -10.6532 -3.3475
H -9.5281 -14.7908 1.1353
H -1.3768 -12.5570 3.2041
H -8.0843 -14.8945 5.5625
S -12.7694 -15.8736 4.1302
H -12.8733 -5.7237 0.5477
S -6.5860 -14.3948 2.9872
H -7.7171 -9.8451 1.8517
H -11.4947 -12.7641 0.1584
C -7.6138 -10.1768 2.8922
H -8.4721 -9.9586 5.3683
H -5.4661 -9.8128 0.0937
C -3.2394 -7.3936 0.9225
S -11.6616 -17.5881 3.8177
H -3.0651 -3.4949 -1.4209
H -3.1586 -4.3883 2.4757
C 0.0899 -4.0638 3.4379
H -11.4100 -9.1987 -3.8414
S -6.1006 -4.7842 0.6238
Cu -6.9875 -12.1051 -2.4482
S 0.0828 -3.3054 -0.5192
H -12.6045 -8.5052 8.3994
Cu -12.6708 -11.1202 10.2296
S -5.3377 -12.8297 0.9069
C -12.6110 -11.7887 6.8988
S -13.9189 -5.3191 5.1560
N -11.3049 -14.8686 -0.0296
H -9.3751 -8.0365 6.8438
C -10.6380 -4.7818 3.2606
S 1.9066 -7.4316 3.1014
C -10.5939 -15.0150 1.2816
C -0.3480 -10.2234 3.9420
H -2.0704 -8.6695 6.5059
S -14.5933 -11.7474 0.5095
H -10.4302 -12.0677 3.0895
C -3.7934 -8.3378 -1.2624
H -8.2164 -11.6923 5.0283
H -12.9839 -7.2102 7.1994
S -1.0251 -1.5909 -0.2068
S -1.1215 -7.4826 -4.6514
H -1.7095 -11.0980 -2.3946
H -4.9826 -7.7166 -4.9579
C -2.0928 -4.1640 2.3293
H -10.0127 -13.3239 -0.7124
N -8.9781 -10.5565 3.4043
S -5.5251 -10.4754 6.3247
S 1.2322 -13.8600 -1.5451
H -12.5574 -7.1401 1.6146
H -8.9706 -3.4366 1.7698
H -4.4702 -7.4868 -1.4173
H -11.6266 -13.3908 -1.5168
C -11.0876 -13.4832 -0.5656
H -3.3116 -11.1425 -3.2329
S -7.3490 -6.3493 2.7040
S 0.7237 -11.0853 -0.4871
H -0.0821 -10.6738 -4.7884
H -1.3859 -4.4034 -3.6370
C -14.4687 -7.7668 -0.1008
C -3.5295 -4.1741 -2.1491
N 0.3141 -11.5663 4.0106
S -5.7325 -3.9195 3.4862
S -13.4104 -8.0937 4.0981
C -8.8932 -10.8412 4.8733
H -7.7040 -11.4624 8.5689
H 0.1699 -9.5516 4.6361
H -3.7161 -15.7424 1.8411
H -11.6485 -5.1265 3.5208
C -9.1572 -15.0049 5.7600
H -10.7258 -16.0446 1.6404
H -11.2774 -8.8426 -0.5931
H -2.6740 -5.8551 4.3234
C 1.7086 -12.4843 -0.6725
H -11.0562 -14.3275 1.9993
Cu 1.9306 -9.1869 0.1159
C -2.0487 -14.3972 0.3503
H -1.9609 -3.1344 1.9705
H -4.2146 -9.2204 -1.7573
H -9.9352 -4.9960 4.0770
H -2.7044 -9.9495 1.5220
S 0.7204 -7.6337 1.4231
H -14.8792 -8.5398 -0.7613
S -8.6480 -7.9530 -0.1927
H -12.8566 -9.6274 -1.0252
H -2.7875 -8.1044 -1.6381
C -8.0143 -10.9544 9.4923
S -12.2251 -12.6255 5.4735
S -7.6154 -6.4679 4.7485
C -4.6724 -8.2246 -5.8813
H -5.7249 -8.1219 0.6540
C -6.3326 -14.2001 1.2962
H -9.6602 -14.0304 5.7250
C -4.5698 -10.0729 4.9302
H 0.4424 -4.7096 2.6248
H -4.6709 -9.3099 -5.7199
C 1.7820 -11.4122 3.7118
S -11.5651 -11.6964 8.2624
H -6.6528 -1.7685 1.7108
H -3.9782 -6.5962 0.7531
H -1.4092 -10.3364 4.2040
C -3.3808 -16.3507 0.9926
C -2.7420 -9.7463 0.4444
H -4.6024 -4.2845 -1.9515
H -3.1728 -7.6231 1.9945
H -10.6496 -9.2134 7.3674
C -2.2333 -10.9696 -3.3514
H -1.7544 -9.4501 0.0713
C -10.4533 -8.2094 6.9623
C -5.0729 -9.0022 0.7187
S -4.0387 -11.2260 3.8037
H -8.0158 -9.8691 9.3309
S -4.2554 -8.3869 4.7881
S -0.4616 -6.5535 -1.8626
S -6.8167 -6.6682 -2.7674
H -0.2421 -9.8306 2.9218
H -6.9618 -11.0571 2.9569
S -5.8700 -12.5108 6.3784
C -14.3953 -6.6947 4.2834
Cu -7.6456 -5.9458 -0.6753
H -11.3098 -6.6220 0.4069
H -9.9822 -9.2295 2.0890
H -14.5792 -8.0663 0.9491
H -2.0371 -9.9656 -3.7564
H -9.5772 -8.5425 3.6954
H -9.8992 -11.0746 5.2491
C -0.0756 -7.3903 -3.2879
N -2.0127 -15.8784 0.5767
N -3.7086 -8.6225 0.2067
H -9.0039 -11.2994 9.8146
H -12.4445 -9.3484 0.6891
H -13.1291 -14.4694 0.9862
C -12.3844 -6.7046 0.6192
H -2.2565 -7.1113 0.5215
S -8.4313 -10.7921 -1.1771
C -6.3540 -4.9789 2.3148
H -10.9323 -9.7289 3.5396
C -1.5991 -5.6958 4.1766
S -7.1615 -8.7036 -2.7137
C -9.3059 -2.8283 2.6183
Cu -5.6992 -7.0739 6.0592
C -9.4473 -11.7854 2.6885
H -3.0265 -5.1486 -2.1140
H -9.5139 -11.5559 1.6165
H -8.7084 -12.5828 2.8578
S -6.9542 -15.2595 0.1248
C -1.3083 -8.8985 7.2657
H -2.7515 -14.1830 -0.4660
H -9.6215 -15.6841 5.0318
H -1.2766 -9.9803 7.4523
```



Entry 2:
# CuTe4H12C4N

A relaxed structure of CuTe4H12C4N (PBE-GGA, Materials Project).

ΔE_f   -0.12 eV per atom
Total energy   -419.50 eV/cell
Theoretical density   3.33 g/cm3

```
88
Lattice="11.3435 0.0000 0.0000 0.0000 9.7420 0.0000 0.0000 2.7360 11.6937" Properties=species:S:1:pos:R:3 pbc="T T T"
H 2.8462 12.1615 10.5676
H 10.3735 4.8285 6.7700
H 9.2150 1.9540 1.4054
Te 6.4368 5.7899 9.4240
H 3.3173 10.7616 11.6139
C 3.7324 11.1075 8.2671
H 5.1735 1.2621 2.3599
H 9.2041 11.4025 9.3110
H 2.8367 9.1579 2.1694
H 3.5324 2.4435 8.2296
H 0.4990 1.4569 4.1378
C 8.6929 2.7682 6.9357
H 8.5068 3.3201 9.5243
C 5.9663 0.9882 1.6551
N 7.2050 1.7408 2.0316
H 6.1700 11.2159 9.3338
Te 2.7109 6.0002 7.8084
H 8.5085 1.9521 3.6775
Te 5.1240 4.0761 5.6567
Te 10.5785 4.4219 3.5772
H 0.4488 7.6421 3.1973
Te 2.9609 4.6322 1.9616
H 1.1202 9.4881 1.7361
Cu 0.3773 4.8808 1.2938
C 3.0212 11.0778 10.6049
H 2.8256 10.7935 4.7207
H 10.8452 9.8479 3.4869
H 10.8444 11.0211 7.5559
Te 2.4421 4.3415 4.7957
H 5.2230 9.0101 9.0442
C 11.0489 2.3562 7.5019
H 0.0046 9.8230 5.2068
N 1.5332 9.3692 3.8152
H 6.1205 3.4679 2.6495
C 7.6111 1.3705 3.4267
Te 3.2296 5.7095 10.6426
Te 0.5478 5.4441 11.5036
Te 8.6326 6.4778 3.8853
Cu 10.9661 7.5972 10.3999
H 6.7920 1.6219 4.1108
H 8.0262 1.7164 0.0798
H 11.3389 2.6550 6.4869
H 8.5179 1.6845 6.9730
H 2.8350 10.5259 8.0162
H 2.3545 9.3936 5.7671
C 1.9393 9.7395 2.4202
H 6.6418 3.4605 0.9231
C 6.9298 3.2180 1.9534
H 7.8111 10.0345 3.4641
H 0.4983 2.6301 8.2068
H 3.4977 8.7249 9.4626
H 6.1708 9.6531 1.7091
C 2.6506 9.7098 4.7581
Te 0.7650 8.0561 8.1165
Te 6.2195 8.4019 6.0370
N 9.8102 3.1088 7.8785
Te 8.1139 6.7685 1.0511
C 8.3223 1.4002 1.0888
H 4.7017 9.0175 10.7706
H 8.4973 0.3165 1.1261
C 4.4137 9.2600 9.7404
C 9.4042 2.7385 9.2735
Te 4.9067 6.6881 2.2697
C 1.2580 7.8920 3.8935
H 2.1741 7.3569 3.6158
Te 8.9014 8.1365 6.8980
H 5.6672 11.1911 11.0536
H 4.5515 10.8561 7.5829
H 7.8002 3.3220 7.2523
C 10.0855 4.5860 7.8002
Cu 6.0491 6.2292 4.5530
H 10.2232 2.9899 9.9576
C 5.3772 11.4898 10.0386
Cu 5.2944 6.2488 7.1407
H 8.9890 3.0844 5.9266
H 5.6763 1.2870 0.6401
H 7.8458 3.7531 2.2311
H 2.1394 1.0755 2.3827
N 4.1385 10.7372 9.6621
H 9.1694 5.1211 8.0780
H 10.8947 4.8359 8.4964
Te 10.7957 7.0339 0.1901
H 2.1284 10.5240 10.2883
Te 8.3826 7.8458 9.7321
H 0.9700 7.6495 4.9237
C 0.2945 10.1218 4.1918
H 3.5433 9.1560 4.4414
H 5.1727 2.8249 9.9846
```